A relaxed Na5Y2Ta2Si3P3O24 crystal, computed with PBE.

* uncorrected energy: -296.7 eV/f.u.
* size of the total moment: 0.00 μB per formula unit
* DFT formation energy: -3.041 eV/atom

abc: 9.1543 9.1819 22.9062
angles: 90.32 89.79 119.53
Closest atoms and distances in Å follow each position.
Sites, in units of the cell vectors:
1 O 0.4695 0.2999 0.0272  1 Si 1.72, 1 Ta 1.92
2 O 0.8614 0.3493 0.2485  1 Si 1.62
3 Si 0.6961 0.9900 0.7505  4 O 1.57-1.71
4 O 0.6781 0.5388 0.2411  1 P 1.52
5 O 0.1662 0.1990 0.6956  1 P 1.60
6 Na 0.3032 0.9599 0.0788  4 O 2.31-2.56
7 O 0.8844 0.5183 0.1411  1 Si 1.60
8 Ta 0.3342 0.6655 0.3149  6 O 1.95-2.13
9 O 0.4709 0.3446 0.1412  1 Si 1.57
10 P 0.6992 0.7128 0.2483  4 O 1.52-1.59
11 O 0.2088 0.0035 0.3076  1 P 1.52
12 P 0.3464 0.3789 0.4143  4 O 1.51-1.58
13 O 0.4742 0.1689 0.5268  1 Si 1.72
14 O 0.4970 0.8555 0.3632  1 Si 1.71
15 O 0.8517 0.4789 0.4229  1 Si 1.67
16 O 0.8359 0.2962 0.5265  1 P 1.60
17 O 0.1392 0.5005 0.8655  1 P 1.59
18 Si 0.9547 0.6321 0.0840  4 O 1.60-1.71
19 Na 0.3213 0.0167 0.4167  4 O 2.40-2.68
20 Na 0.6729 0.3230 0.8301  5 O 2.47-2.72
21 Si 0.3636 0.3243 0.0852  4 O 1.57-1.72
22 O 0.2111 0.1889 0.8034  1 P 1.51
23 P 0.0141 0.7137 0.7522  4 O 1.51-1.62
24 Y 0.6700 0.3380 0.6873  6 O 2.10-2.27
25 O 0.9988 0.7948 0.8076  1 P 1.51
26 Ta 0.6574 0.3311 0.9807  5 O 1.92-2.07
27 Na 0.6467 0.9664 0.5817  3 O 2.29-2.51
28 O 0.6988 0.5304 0.5271  1 Si 1.72
29 O 0.4644 0.1305 0.2448  1 P 1.51
30 O 0.1411 0.6338 0.3612  1 Si 1.73
31 O 0.5510 0.6789 0.9706  1 P 1.51
32 O 0.6300 0.4827 0.9205  1 P 1.58
33 O 0.8039 0.0106 0.8064  1 Si 1.57
34 O 0.0231 0.8275 0.4116  1 Si 1.61
35 O 0.8313 0.5253 0.0259  1 Si 1.71
36 O 0.9943 0.2095 0.3121  1 Si 1.59
37 O 0.2042 0.1988 0.4056  1 P 1.53
38 P 0.6235 0.6510 0.9153  4 O 1.51-1.59
39 Na 0.9974 0.0025 0.9944  6 O 2.58-2.75
40 Na 0.9858 0.6824 0.9165  3 O 2.33-2.43
41 O 0.1475 0.6707 0.0771  1 Si 1.63
42 O 0.6464 0.1355 0.7479  1 Si 1.61
43 O 0.3612 0.8542 0.8614  1 Si 1.73, 1 Ta 1.93
44 Y 0.9976 0.0100 0.8529  6 O 2.07-2.30
45 Si 0.3666 0.0443 0.5850  4 O 1.60-1.72
46 O 0.4815 0.1170 0.6416  1 Si 1.60
47 O 0.8220 0.0186 0.4149  1 Si 1.62
48 Ta 0.3417 0.6707 0.8144  6 O 1.93-2.13
49 O 0.8587 0.8190 0.5906  1 Si 1.70
50 O 0.3142 0.4685 0.0792  1 Si 1.60
51 O 0.8023 0.9758 0.6913  1 Si 1.71
52 O 0.2881 0.8140 0.2544  1 P 1.59
53 O 0.9645 0.8179 0.0928  1 Si 1.68
54 O 0.5282 0.6813 0.5818  1 Si 1.60
55 O 0.1804 0.1413 0.0912  1 Si 1.70
56 O 0.6226 0.1516 0.4214  1 Si 1.68
57 Ta 0.9991 0.0013 0.1480  6 O 1.96-2.12
58 Y 0.9880 0.9954 0.3507  6 O 2.13-2.31
59 O 0.5211 0.1510 0.9241  1 Si 1.67
60 P 0.6787 0.0481 0.0820  4 O 1.51-1.59
61 Si 0.3438 0.9678 0.9189  4 O 1.60-1.73
62 O 0.8694 0.5368 0.7455  1 P 1.51
63 O 0.8068 0.7846 0.3029  1 P 1.53
64 O 0.0212 0.1911 0.1948  1 Si 1.72
65 O 0.1926 0.4917 0.2561  1 Si 1.69
66 O 0.6466 0.1206 0.1366  1 P 1.51
67 O 0.3161 0.8643 0.9777  1 Si 1.60
68 O 0.5063 0.6348 0.8616  1 P 1.59
69 O 0.8000 0.8308 0.1950  1 P 1.59
70 O 0.3659 0.4959 0.3608  1 P 1.58
71 Y 0.3402 0.6646 0.5178  6 O 2.14-2.29
72 O 0.2896 0.4703 0.7568  1 P 1.56
73 O 0.9557 0.1514 0.5879  1 P 1.58
74 Na 0.6657 0.3291 0.3283  6 O 2.50-2.75
75 O 0.7042 0.1688 0.0286  1 P 1.59
76 P 0.9530 0.3211 0.5818  4 O 1.51-1.60
77 O 0.1862 0.7106 0.7553  1 P 1.59
78 Na 0.9739 0.3016 0.4109  3 O 2.27-2.45
79 O 0.5137 0.3729 0.4214  1 P 1.57
80 Na 0.9875 0.9867 0.4948  5 O 2.49-2.76
81 O 0.1764 0.9820 0.9111  1 Si 1.61
82 O 0.5105 0.8072 0.7576  1 Si 1.71
83 P 0.0329 0.3811 0.9178  4 O 1.52-1.59
84 Na 0.3649 0.0111 0.7455  2 O 2.25-2.43
85 O 0.8492 0.0454 0.0880  1 P 1.58
86 Na 0.0380 0.6938 0.5790  4 O 2.30-2.56
87 O 0.3045 0.4462 0.4683  1 P 1.51
88 Na 0.9898 0.6307 0.2449  2 O 2.25-2.41
89 Ta 0.6640 0.3377 0.4809  6 O 1.94-2.08
90 Ta 0.9980 0.0006 0.6479  6 O 1.96-2.12
91 Si 0.6756 0.6351 0.5855  4 O 1.57-1.72
92 O 0.1246 0.4544 0.9751  1 P 1.52
93 O 0.3267 0.8519 0.5781  1 Si 1.63
94 O 0.6595 0.5295 0.6413  1 Si 1.57
95 Si 0.6270 0.9704 0.4191  4 O 1.59-1.71
96 Y 0.6629 0.3295 0.1863  6 O 2.11-2.27
97 Na 0.3512 0.6561 0.1639  6 O 2.50-2.78
98 O 0.1664 0.9661 0.1975  1 P 1.61
99 O 0.1281 0.4706 0.5749  1 P 1.52
100 P 0.2884 0.9868 0.2514  4 O 1.51-1.61
101 Na 0.0311 0.3543 0.0842  2 O 2.27-2.48
102 O 0.8045 0.7914 0.9082  1 P 1.53
103 O 0.4591 0.3209 0.7419  1 P 1.52
104 O 0.5521 0.8728 0.4788  1 Si 1.59
105 O 0.5295 0.8733 0.0741  1 P 1.52
106 Y 0.3404 0.6657 0.0173  6 O 2.15-2.25
107 O 0.8617 0.3836 0.9192  1 P 1.58
108 Si 0.0330 0.6585 0.4190  4 O 1.60-1.73
109 P 0.2835 0.2978 0.7499  4 O 1.51-1.60
110 O 0.0356 0.8342 0.6976  1 P 1.62
111 O 0.1814 0.0364 0.5925  1 Si 1.67
112 Si 0.0124 0.3064 0.2527  4 O 1.59-1.72
113 O 0.0019 0.2029 0.9126  1 P 1.52
114 O 0.1347 0.6798 0.4778  1 Si 1.60
115 Na 0.3411 0.6455 0.6629  4 O 2.43-2.71
116 O 0.5274 0.7078 0.2546  1 P 1.56
117 O 0.8742 0.3504 0.6352  1 P 1.51

A relaxed Na6Y3TaSi2P4O24 crystal, computed with PBE.

* uncorrected energy: -296.9 eV/f.u.
* size of the total moment: 0.00 μB per formula unit
* DFT formation energy: -3.072 eV/atom

abc: 9.3033 9.3246 22.7861
angles: 90.14 90.05 120.07
Closest atoms and distances in Å follow each position.
Sites, in units of the cell vectors:
1 O 0.9774 0.8046 0.0779  1 P 1.55
2 Ta 0.6661 0.3335 0.9761  6 O 1.95-2.06
3 Y 0.0003 0.9934 0.1485  5 O 2.16-2.39
4 O 0.5486 0.8631 0.4779  1 Si 1.62
5 O 0.7469 0.9647 0.6876  1 P 1.55
6 Na 0.9554 0.9802 0.9949  4 O 2.41-2.61
7 O 0.6779 0.5678 0.5168  1 P 1.55
8 Y 0.6726 0.3478 0.6841  6 O 2.16-2.34
9 Si 0.3075 0.9965 0.2515  4 O 1.62-1.71
10 O 0.4485 0.1348 0.5267  1 P 1.56
11 Y 0.3464 0.6700 0.0180  5 O 2.10-2.32
12 O 0.4896 0.3352 0.7480  1 Si 1.63
13 Na 0.2901 0.9547 0.0782  5 O 2.45-2.52
14 P 0.9687 0.3238 0.5840  4 O 1.54-1.56
15 Y 0.9954 0.9913 0.6542  6 O 2.23-2.35
16 Na 0.0031 0.3385 0.7455  4 O 2.43-2.66
17 O 0.8605 0.5285 0.1323  1 P 1.51
18 Si 0.6300 0.9645 0.4179  4 O 1.62-1.72
19 O 0.6658 0.5284 0.2492  1 P 1.52
20 O 0.0288 0.2263 0.1942  1 P 1.55
21 O 0.1978 0.1592 0.0753  1 P 1.56
22 O 0.5016 0.1422 0.2497  1 Si 1.63
23 O 0.3322 0.4901 0.3643  1 P 1.58
24 O 0.5141 0.8849 0.0810  1 P 1.54
25 Y 0.6685 0.3353 0.4815  6 O 2.22-2.39
26 Na 0.6631 0.9688 0.5849  6 O 2.47-2.64
27 O 0.1852 0.1988 0.4106  1 P 1.55
28 Na 0.3291 0.6429 0.1666  6 O 2.54-2.83
29 P 0.0168 0.6954 0.7574  4 O 1.52-1.58
30 Ta 0.3412 0.6658 0.8213  6 O 1.91-2.13
31 O 0.1451 0.5073 0.8660  1 Si 1.71
32 O 0.5144 0.1491 0.9261  1 Si 1.67
33 O 0.1337 0.4493 0.9803  1 Si 1.61
34 O 0.7801 0.8248 0.2064  1 P 1.55
35 O 0.8168 0.9901 0.4130  1 Si 1.63
36 Na 0.3050 0.3327 0.5937  5 O 2.40-2.67
37 O 0.1490 0.4733 0.5856  1 P 1.55
38 O 0.8368 0.0473 0.0771  1 P 1.54
39 Na 0.9603 0.2866 0.4121  5 O 2.39-2.63
40 O 0.3626 0.8602 0.8644  1 Si 1.68
41 Na 0.3382 0.0376 0.4056  3 O 2.33-2.54
42 O 0.5574 0.6855 0.9787  1 Si 1.59
43 P 0.6841 0.9906 0.7474  4 O 1.53-1.57
44 P 0.6874 0.6997 0.2566  4 O 1.52-1.59
45 O 0.7711 0.7726 0.3159  1 P 1.54
46 O 0.6651 0.5270 0.6265  1 P 1.53
47 Si 0.3402 0.9652 0.9204  4 O 1.61-1.68
48 Na 0.7006 0.6819 0.4170  5 O 2.43-2.52
49 Na 0.9907 0.9839 0.5048  3 O 2.37-2.50
50 O 0.3371 0.4713 0.0812  1 P 1.55
51 P 0.6754 0.0548 0.0836  4 O 1.53-1.60
52 O 0.1863 0.2324 0.6930  1 Si 1.66
53 O 0.5015 0.8434 0.3624  1 Si 1.72
54 O 0.8199 0.8179 0.5827  1 P 1.55
55 Na 0.9985 0.6845 0.9168  4 O 2.35-2.57
56 P 0.0093 0.3103 0.2499  4 O 1.53-1.58
57 P 0.3685 0.3233 0.0790  4 O 1.51-1.59
58 O 0.6780 0.1733 0.0322  1 P 1.60
59 Y 0.0034 0.9996 0.3455  6 O 2.15-2.31
60 O 0.4654 0.1329 0.6379  1 P 1.54
61 P 0.0362 0.6625 0.4127  4 O 1.52-1.58
62 O 0.9749 0.1598 0.5821  1 P 1.56
63 O 0.8510 0.3704 0.9226  1 Si 1.68
64 O 0.4737 0.3258 0.0234  1 P 1.59
65 O 0.1864 0.6957 0.7593  1 P 1.58
66 O 0.6565 0.1420 0.7467  1 P 1.56
67 O 0.6350 0.1430 0.4131  1 Si 1.65
68 O 0.1438 0.6588 0.3596  1 P 1.58
69 Na 0.3349 0.6632 0.6705  6 O 2.55-2.66
70 Na 0.6550 0.3323 0.3284  6 O 2.42-2.66
71 O 0.6758 0.1349 0.1422  1 P 1.53
72 P 0.3623 0.0364 0.5837  4 O 1.54-1.56
73 Si 0.3045 0.3120 0.7521  4 O 1.62-1.68
74 Y 0.3266 0.6681 0.5194  6 O 2.17-2.31
75 O 0.8597 0.3363 0.2460  1 P 1.53
76 P 0.6690 0.6406 0.5772  4 O 1.53-1.56
77 O 0.3515 0.8650 0.5849  1 P 1.55
78 O 0.4996 0.3749 0.4118  1 P 1.56
79 O 0.6249 0.4745 0.9204  1 Si 1.68
80 O 0.8727 0.3236 0.5277  1 P 1.56
81 O 0.8774 0.3268 0.6398  1 P 1.54
82 O 0.3012 0.8569 0.9792  1 Si 1.61
83 Y 0.9931 0.9963 0.8507  6 O 2.19-2.31
84 O 0.1945 0.9738 0.1936  1 Si 1.63
85 P 0.3341 0.3777 0.4154  4 O 1.53-1.58
86 O 0.5089 0.6835 0.2577  1 P 1.59
87 O 0.9802 0.2019 0.3050  1 P 1.55
88 O 0.1288 0.6428 0.0802  1 P 1.56
89 O 0.2158 0.1943 0.8082  1 Si 1.62
90 Y 0.6635 0.3421 0.1869  6 O 2.16-2.29
91 O 0.8501 0.5307 0.0223  1 P 1.60
92 O 0.1734 0.4821 0.2585  1 P 1.58
93 O 0.0070 0.1904 0.9106  1 Si 1.60
94 Ta 0.3319 0.6724 0.3129  6 O 1.92-2.07
95 O 0.1341 0.6793 0.4685  1 P 1.52
96 O 0.1897 0.0237 0.5856  1 P 1.55
97 O 0.1890 0.0002 0.9098  1 Si 1.61
98 O 0.0341 0.8104 0.7057  1 P 1.55
99 O 0.8116 0.0220 0.7953  1 P 1.53
100 Si 0.0321 0.3720 0.9205  4 O 1.60-1.71
101 O 0.3159 0.4499 0.4736  1 P 1.53
102 Na 0.0383 0.3393 0.0752  4 O 2.37-2.52
103 O 0.8249 0.7994 0.9124  1 Si 1.60
104 O 0.5041 0.6427 0.8649  1 Si 1.70
105 O 0.5111 0.8334 0.7603  1 P 1.57
106 Na 0.3130 0.2909 0.9124  4 O 2.36-2.54
107 Si 0.6340 0.6595 0.9202  4 O 1.59-1.70
108 Na 0.6620 0.3408 0.8296  5 O 2.44-2.68
109 O 0.9918 0.7636 0.8149  1 P 1.52
110 O 0.2253 0.0113 0.3123  1 Si 1.62
111 O 0.5065 0.6496 0.5840  1 P 1.56
112 O 0.0109 0.8134 0.4098  1 P 1.54
113 O 0.3207 0.8203 0.2573  1 Si 1.71, 1 Ta 1.92
114 O 0.8776 0.5126 0.7490  1 P 1.55
115 O 0.8676 0.4988 0.4104  1 P 1.55
116 O 0.4639 0.3259 0.1333  1 P 1.51
117 Na 0.3560 0.0126 0.7547  4 O 2.43-2.70
118 O 0.3092 0.4930 0.7621  1 Si 1.68
119 Na 0.6594 0.0122 0.2428  2 O 2.33-2.54
120 P 0.9545 0.6283 0.0791  4 O 1.51-1.60

- size of the total moment of number 2 (Na6Y3TaSi2P4O24)?
  0.00 μB per formula unit